(1)
DFT (GGA-PBE) results for a geometry-optimized NiN structure.

Total energy = -6.445 eV/atom
Space-group type = Fm-3m (225)
Crystal system = cubic
Total magnetization = 0.002 μB per atom

Cell and atoms, written as POSCAR:
```
NiN
1.0
0.000 2.031 2.031
2.031 0.000 2.031
2.031 2.031 0.000
N Ni
1 1
Direct
0.500 0.500 0.500 N
0.000 0.000 0.000 Ni
```

***

(2)
DFT (GGA-PBE) results for a geometry-optimized InFeNi structure.

Total energy = -5.376 eV/atom
Space-group type = P6_3/mmc (194)
Crystal system = hexagonal
Total magnetization = 0.838 μB per atom

Cell and atoms, written as POSCAR:
```
InFeNi
1.0
-2.204 -3.817 0.000
-2.204 3.817 0.000
0.000 0.000 -5.236
Fe In Ni
2 2 2
Direct
0.333 0.667 0.750 Fe
0.667 0.333 0.250 Fe
0.667 0.333 0.750 In
0.333 0.667 0.250 In
0.000 0.000 0.000 Ni
0.000 0.000 0.500 Ni
```

***

(3)
DFT (GGA-PBE) results for a geometry-optimized KH3 structure.

Total energy = -1.856 eV/atom
Space-group type = I4/mmm (139)
Crystal system = tetragonal
Total magnetization = 0.269 μB per atom

Cell and atoms, written as POSCAR:
```
KH3
1.0
2.693 0.335 3.347
-2.618 2.574 2.255
-1.283 -3.805 -1.564
H K
3 1
Direct
0.500 0.500 0.000 H
0.250 0.750 0.500 H
0.750 0.250 0.500 H
0.000 0.000 0.000 K
```

***

(4)
DFT (GGA-PBE) results for a geometry-optimized RbLiMgB4H16 structure.

Total energy = -4.007 eV/atom
Space-group type = Aea2 (41)
Crystal system = orthorhombic
Total magnetization = 0.000 μB per atom

Cell and atoms, written as POSCAR:
```
RbLiMgB4H16
1.0
3.559 6.906 -1.107
-4.061 -1.316 -6.585
-6.521 3.881 3.246
B H Rb Mg Li
8 32 2 2 2
Direct
0.534 0.142 0.395 B
0.479 0.588 0.266 B
0.412 0.521 0.734 B
0.358 0.966 0.895 B
0.979 0.088 0.234 B
0.034 0.642 0.105 B
0.858 0.466 0.605 B
0.912 0.021 0.766 B
0.294 0.593 0.749 H
0.096 0.540 0.026 H
0.850 0.885 0.845 H
0.456 0.073 0.275 H
0.023 0.040 0.365 H
0.653 0.272 0.353 H
0.956 0.573 0.225 H
0.794 0.093 0.751 H
0.523 0.540 0.135 H
0.115 0.150 0.155 H
0.907 0.206 0.249 H
0.460 0.477 0.865 H
0.615 0.650 0.345 H
0.596 0.040 0.474 H
0.460 0.904 0.974 H
0.407 0.706 0.251 H
0.927 0.544 0.725 H
0.728 0.347 0.647 H
0.426 0.186 0.484 H
0.314 0.074 0.984 H
0.375 0.460 0.331 H
0.228 0.847 0.853 H
0.875 0.960 0.169 H
0.960 0.977 0.635 H
0.540 0.625 0.669 H
0.350 0.385 0.655 H
0.040 0.125 0.831 H
0.814 0.574 0.516 H
0.926 0.686 0.016 H
0.427 0.044 0.775 H
0.153 0.772 0.147 H
0.960 0.404 0.526 H
0.204 0.796 0.500 Rb
0.704 0.296 0.000 Rb
0.059 0.941 0.000 Mg
0.559 0.441 0.500 Mg
0.347 0.653 0.000 Li
0.847 0.153 0.500 Li
```

***

Sequential formation energy from the elements output: 433, 291, 832, -414 meV/atom